# 1
A geometry-optimized CuI2 structure. Source: Materials Project, functional PBE-GGA.

Total DFT energy (no corrections)   -0.1684 Ry/atom

Cell and atoms, written as extended XYZ:
```
3
Lattice="5.200 0.000 0.000 0.000 5.200 0.000 0.000 0.000 4.544" Properties=species:S:1:pos:R:3 pbc="T T T"
I 0.000 2.600 0.000
I 2.600 0.000 0.000
Cu 0.000 0.000 0.000
```


# 2
A geometry-optimized CuI structure. Source: Materials Project, functional PBE-GGA.

Total DFT energy (no corrections)   -0.2141 Ry/atom

Cell and atoms, written as extended XYZ:
```
4
Lattice="3.694 -3.736 0.000 3.694 3.736 0.000 0.000 0.000 4.357" Properties=species:S:1:pos:R:3 pbc="T T T"
Cu 3.088 0.000 1.089
Cu 4.299 0.000 3.268
I 1.669 0.000 3.268
I 5.718 0.000 1.089
```


# 3
A geometry-optimized CuI structure. Source: Materials Project, functional PBE-GGA.

Total DFT energy (no corrections)   -0.2173 Ry/atom
Piezoelectric modulus e_max   0.1 C/m2

Cell and atoms, written as extended XYZ:
```
4
Lattice="-2.157 2.743 2.441 2.673 -2.793 1.787 5.227 4.630 -0.584" Properties=species:S:1:pos:R:3 pbc="T T T"
I 6.287 3.680 1.421
I 2.064 3.211 1.931
Cu 4.333 1.949 1.639
Cu 0.109 1.479 2.149
```


# 4
A geometry-optimized CuI structure. Source: Materials Project, functional PBE-GGA.

Total DFT energy (no corrections)   -0.2179 Ry/atom
Piezoelectric modulus e_max   0.0 C/m2

Cell and atoms, written as extended XYZ:
```
12
Lattice="2.084 -3.609 0.000 2.084 3.609 0.000 0.000 0.000 22.372" Properties=species:S:1:pos:R:3 pbc="T T T"
I 2.084 1.203 11.228
I 2.084 -1.203 18.683
I 0.000 0.000 14.877
I 2.084 1.203 3.764
I 0.000 0.000 7.422
I 0.000 0.000 22.332
Cu 0.000 0.000 17.492
Cu 2.084 1.203 8.613
Cu 0.000 0.000 2.574
Cu 2.084 -1.203 16.066
Cu 2.084 1.203 1.148
Cu 0.000 0.000 10.036
```